A plane-wave DFT calculation with PBE was carried out for a relaxed structure of YMg6Ni.

a b c (Å): 6.5870 6.5870 4.8411
angles (deg): 90.00 90.00 124.16
Sites, in units of the cell vectors:
Y  0.1992  0.8008  0.0000
Mg  0.1801  0.3260  0.0000
Mg  0.6740  0.8199  0.0000
Mg  0.6581  0.3419  0.0000
Mg  0.3149  0.1901  0.5000
Mg  0.8099  0.6851  0.5000
Mg  0.8131  0.1869  0.5000
Ni  0.3506  0.6494  0.5000

Calculated values
- volume (Å³/atom) = 21.7
- ΔE to the lowest computed polymorph (eV per formula unit) = 0.04